Record 1
Below is CaW4O9 after structural relaxation, with properties calculated at the GGA+U level.

The structure in POSCAR format:
```
CaW4O9
1.0
-9.570 -1.538 0.524
1.070 -8.321 -4.882
0.501 -1.949 3.431
O W Ca
18 8 2
Direct
0.925 0.252 0.037
0.752 0.575 0.037
0.248 0.425 0.037
0.278 0.886 0.480
0.000 0.000 0.500
0.778 0.386 0.520
0.252 0.075 0.963
0.614 0.778 0.480
0.500 0.500 0.500
0.575 0.248 0.963
0.075 0.748 0.037
0.114 0.278 0.520
0.886 0.722 0.520
0.425 0.752 0.963
0.722 0.114 0.480
0.222 0.614 0.520
0.748 0.925 0.963
0.386 0.222 0.480
0.289 0.409 0.545
0.909 0.211 0.545
0.789 0.909 0.455
0.591 0.289 0.455
0.091 0.789 0.545
0.711 0.591 0.545
0.409 0.711 0.455
0.211 0.091 0.455
0.500 0.000 0.912
0.000 0.500 0.088
```

Values from the calculation:
As for the space group: No. 85. The value obtained for the total magnetization is 16.00 μB per cell. The formation energy is -1939 meV per atom.

Record 2
Below is Li4V3P8O29 after structural relaxation, with properties calculated at the GGA+U level.

The structure in POSCAR format:
```
Li4V3P8O29
1.0
7.575 6.095 -0.118
-1.470 -5.751 7.774
8.054 -10.052 -6.080
V O Li P
6 58 8 16
Direct
0.567 0.568 0.246
0.998 0.436 0.258
0.002 0.568 0.741
0.434 0.999 0.246
0.436 0.435 0.755
0.561 0.000 0.754
0.819 0.488 0.821
0.486 0.812 0.671
0.258 0.917 0.337
0.986 0.768 0.067
0.383 0.472 0.326
0.676 0.189 0.832
0.328 0.514 0.679
0.798 0.019 0.070
0.345 0.086 0.165
0.006 0.211 0.580
0.741 0.653 0.166
0.811 0.334 0.322
0.183 0.513 0.182
0.784 0.789 0.575
0.457 0.381 0.168
0.187 0.667 0.674
0.989 0.200 0.759
0.469 0.091 0.674
0.342 0.261 0.667
0.079 0.621 0.330
0.479 0.663 0.177
0.524 0.336 0.820
0.197 0.996 0.920
0.915 0.379 0.672
0.314 0.635 0.030
0.682 0.356 0.971
0.086 0.345 0.339
0.089 0.476 0.823
0.656 0.741 0.328
0.796 0.799 0.750
0.197 0.200 0.081
0.918 0.533 0.173
0.534 0.619 0.828
0.999 0.797 0.422
0.787 0.779 0.926
0.775 0.981 0.430
0.332 0.648 0.528
0.206 0.200 0.257
0.330 0.808 0.173
0.258 0.346 0.835
0.196 0.992 0.741
0.081 0.740 0.832
0.741 0.081 0.664
0.008 0.803 0.243
0.229 0.235 0.432
0.614 0.537 0.671
0.510 0.183 0.330
0.625 0.089 0.172
0.537 0.919 0.326
0.660 0.916 0.842
0.664 0.342 0.471
0.923 0.264 0.168
0.803 0.004 0.250
0.659 0.475 0.317
0.378 0.921 0.827
0.236 0.022 0.564
0.008 0.245 0.934
0.912 0.656 0.663
0.671 0.908 0.556
0.328 0.093 0.438
0.104 0.339 0.060
0.233 0.331 0.557
0.903 0.664 0.943
0.047 0.991 0.017
0.772 0.089 0.945
0.958 0.942 0.493
0.215 0.916 0.837
0.229 0.317 0.343
0.773 0.692 0.659
0.305 0.221 0.161
0.781 0.090 0.159
0.675 0.340 0.867
0.327 0.660 0.134
0.914 0.219 0.662
0.659 0.333 0.367
0.691 0.914 0.339
0.314 0.089 0.656
0.915 0.687 0.157
0.693 0.777 0.844
0.337 0.664 0.632
0.084 0.783 0.340
0.087 0.320 0.843
```

Values from the calculation:
As for the space group: No. 1. The calculation puts the relative energy among the computed polymorphs at 0.008 eV/atom. The value obtained for the total magnetization is 2.00 μB per cell. The formation energy is -2576 meV per atom.

Record 3
Below is Li8MnO6 after structural relaxation, with properties calculated at the GGA+U level.

The structure in POSCAR format:
```
Li8MnO6
1.0
-5.004 -0.088 2.028
3.418 -4.644 1.043
-1.267 3.149 4.200
Li O Mn
8 6 1
Direct
0.658 0.974 0.658
0.902 0.649 0.510
0.342 0.026 0.342
0.098 0.351 0.490
0.490 0.351 0.763
0.237 0.649 0.902
0.763 0.351 0.098
0.510 0.649 0.237
0.230 0.768 0.628
0.770 0.232 0.372
0.090 0.232 0.770
0.628 0.768 0.910
0.910 0.768 0.230
0.372 0.232 0.090
0.000 0.000 0.000
```

Values from the calculation:
As for the space group: No. 148. The calculation puts the relative energy among the computed polymorphs at 0.000 eV/atom. The value obtained for the total magnetization is 3.00 μB per cell. The formation energy is -2079 meV per atom.

Record 4
Below is Ba4La6MnCo9O30 after structural relaxation, with properties calculated at the GGA+U level.

The structure in POSCAR format:
```
Ba4La6MnCo9O30
1.0
-1.708 -5.060 1.674
-1.203 -1.347 -5.298
17.920 -6.822 -2.334
O Co La Ba Mn
30 9 6 4 1
Direct
0.249 0.751 0.500
0.250 0.750 0.095
0.000 0.000 0.000
0.249 0.249 0.500
0.500 0.500 0.809
0.742 0.258 0.716
0.750 0.750 0.095
0.258 0.258 0.284
0.000 0.000 0.805
0.000 0.000 0.391
0.751 0.249 0.500
0.500 0.500 0.191
0.000 0.000 0.195
0.750 0.250 0.905
0.750 0.250 0.095
0.258 0.742 0.716
0.250 0.250 0.905
0.258 0.258 0.716
0.500 0.500 0.603
0.742 0.258 0.284
0.250 0.250 0.095
0.742 0.742 0.716
0.000 0.000 0.609
0.258 0.742 0.284
0.500 0.500 0.000
0.742 0.742 0.284
0.250 0.750 0.905
0.500 0.500 0.397
0.750 0.750 0.905
0.751 0.751 0.500
0.000 0.000 0.099
0.000 0.000 0.500
0.500 0.500 0.901
0.000 0.000 0.901
0.000 0.000 0.300
0.500 0.500 0.099
0.000 0.000 0.700
0.500 0.500 0.706
0.500 0.500 0.294
0.000 0.500 0.801
0.500 0.000 0.801
0.500 0.000 0.000
0.500 0.000 0.199
0.000 0.500 0.199
0.000 0.500 0.000
0.000 0.500 0.600
0.500 0.000 0.600
0.000 0.500 0.400
0.500 0.000 0.400
0.500 0.500 0.500
```

Values from the calculation:
As for the space group: No. 123. The value obtained for the total magnetization is 30.41 μB per cell. The formation energy is -2343 meV per atom.

Record 5
Below is CsDyW2O8 after structural relaxation, with properties calculated at the GGA+U level.

The structure in POSCAR format:
```
CsDyW2O8
1.0
3.092 -4.466 5.454
7.085 1.344 -2.690
4.992 3.203 4.733
W O Dy Cs
4 16 2 2
Direct
0.697 0.686 0.783
0.303 0.314 0.217
0.314 0.303 0.717
0.686 0.697 0.283
0.408 0.627 0.038
0.627 0.408 0.538
0.747 0.621 0.066
0.775 0.948 0.706
0.632 0.939 0.123
0.948 0.775 0.206
0.368 0.061 0.877
0.253 0.379 0.934
0.225 0.052 0.294
0.373 0.592 0.462
0.592 0.373 0.962
0.052 0.225 0.794
0.061 0.368 0.377
0.379 0.253 0.434
0.621 0.747 0.566
0.939 0.632 0.623
0.222 0.778 0.250
0.778 0.222 0.750
0.802 0.198 0.250
0.198 0.802 0.750
```

Values from the calculation:
As for the space group: No. 15. The value obtained for the total magnetization is 0.00 μB per cell. The formation energy is -2647 meV per atom.